# 1
First-principles (PBE-GGA) data for a relaxed structure of AlO2, as listed in the Materials Project database.

a b c (Å): 2.9063 4.0378 4.6059
angles (deg): 90.00 90.00 90.00
Atoms (fractional coordinates):
O (0.0000, 0.2347, 0.8555)
O (0.0000, 0.7653, 0.1445)
O (0.5000, 0.7347, 0.6445)
Al (0.5000, 0.5000, 0.0000)
Al (0.0000, 0.0000, 0.5000)
O (0.5000, 0.2653, 0.3555)

Properties
- calculated formation energy (eV per atom) = -2.6712
- theoretical density (g/cm3) = 3.6
- E (eV per formula unit) = -20.3

=====

# 2
First-principles (PBE-GGA) data for a relaxed structure of CsMnBr3, as listed in the Materials Project database.

a b c (Å): 7.8588 7.8588 6.5964
angles (deg): 90.00 90.00 120.00
Atoms (fractional coordinates):
Br (0.8427, 0.1573, 0.7500)
Cs (0.6667, 0.3333, 0.2500)
Mn (0.0000, 0.0000, 0.0000)
Br (0.8427, 0.6854, 0.7500)
Br (0.3146, 0.1573, 0.7500)
Br (0.1573, 0.8427, 0.2500)
Br (0.1573, 0.3146, 0.2500)
Cs (0.3333, 0.6667, 0.7500)
Br (0.6854, 0.8427, 0.2500)
Mn (0.0000, 0.0000, 0.5000)

Properties
- calculated formation energy (eV per atom) = -1.5703
- theoretical density (g/cm3) = 4.0
- E (eV per formula unit) = -21.2

=====

# 3
First-principles (PBE-GGA) data for a relaxed structure of MgBi2O4, as listed in the Materials Project database.

a b c (Å): 6.7493 6.7493 6.7493
angles (deg): 120.60 117.68 91.51
Atoms (fractional coordinates):
O (0.2297, 0.7213, 0.9916)
O (0.7895, 0.7494, 0.0402)
O (0.2105, 0.2506, 0.9598)
Bi (0.3779, 0.1279, 0.2500)
Mg (0.0000, 0.5000, 0.0000)
O (0.2297, 0.2382, 0.5084)
O (0.7908, 0.2506, 0.5402)
Mg (0.0000, 0.0000, 0.5000)
Bi (0.5000, 0.5000, 0.0000)
O (0.7703, 0.7618, 0.4916)
Bi (0.6221, 0.8721, 0.7500)
O (0.7703, 0.2787, 0.0084)
Bi (0.0000, 0.5000, 0.5000)
O (0.2092, 0.7494, 0.4598)

Properties
- calculated formation energy (eV per atom) = -1.9192
- offset from the most stable computed form (meV/atom) = 79
- theoretical density (g/cm3) = 7.6
- E (eV per formula unit) = -39.9

=====

# 4
First-principles (PBE-GGA) data for a relaxed structure of Sr2VW, as listed in the Materials Project database.

a b c (Å): 5.4482 5.4482 5.4482
angles (deg): 60.00 60.00 60.00
Atoms (fractional coordinates):
W (0.5000, 0.5000, 0.5000)
Sr (0.7500, 0.7500, 0.7500)
Sr (0.2500, 0.2500, 0.2500)
V (0.0000, 0.0000, 0.0000)

Properties
- calculated formation energy (eV per atom) = 1.5366
- theoretical density (g/cm3) = 6.0
- E (eV per formula unit) = -19.3

=====

# 5
First-principles (PBE-GGA) data for a relaxed structure of MgNb3, as listed in the Materials Project database.

a b c (Å): 4.7295 4.7295 4.7295
angles (deg): 60.00 60.00 60.00
Atoms (fractional coordinates):
Mg (0.0000, 0.0000, 0.0000)
Nb (0.7500, 0.7500, 0.7500)
Nb (0.2500, 0.2500, 0.2500)
Nb (0.5000, 0.5000, 0.5000)

Properties
- calculated formation energy (eV per atom) = 0.2644
- offset from the most stable computed form (meV/atom) = 8
- theoretical density (g/cm3) = 6.7
- E (eV per formula unit) = -30.8

=====

# 6
First-principles (PBE-GGA) data for a relaxed structure of CuSi7N10, as listed in the Materials Project database.

a b c (Å): 6.6990 6.9102 9.7008
angles (deg): 90.00 103.88 90.00
Atoms (fractional coordinates):
N (0.1528, 0.8415, 0.5470)
N (0.8803, 0.3845, 0.1294)
N (0.5542, 0.8627, 0.4690)
Si (0.3514, 0.9809, 0.5215)
N (0.2875, 0.5057, 0.7231)
Cu (0.9741, 0.0949, 0.1849)
Si (0.2994, 0.3790, 0.3822)
N (0.3246, 0.8679, 0.8691)
Si (0.6574, 0.3624, 0.9897)
N (0.7539, 0.8487, 0.8083)
Si (0.1134, 0.4002, 0.0739)
Si (0.5441, 0.0185, 0.3237)
Si (0.6574, 0.6376, 0.4897)
N (0.4500, 0.1209, 0.6718)
Si (0.8458, 0.6180, 0.8094)
N (0.8803, 0.6155, 0.6294)
N (0.6980, 0.4183, 0.8233)
Si (0.4841, 0.6326, 0.1863)
N (0.4500, 0.8791, 0.1718)
Cu (0.9741, 0.9051, 0.6849)
Si (0.2994, 0.6210, 0.8822)
Si (0.1134, 0.5998, 0.5739)
N (0.5542, 0.1373, 0.9690)
Si (0.8458, 0.3820, 0.3094)
N (0.7539, 0.1513, 0.3083)
Si (0.3514, 0.0191, 0.0215)
N (0.1528, 0.1585, 0.0470)
N (0.3246, 0.1321, 0.3691)
Si (0.4841, 0.3674, 0.6863)
N (0.6980, 0.5817, 0.3233)
Si (0.5441, 0.9815, 0.8237)
N (0.0755, 0.4319, 0.4347)
N (0.4960, 0.4599, 0.5219)
N (0.2875, 0.4943, 0.2231)
N (0.0755, 0.5681, 0.9347)
N (0.4960, 0.5401, 0.0219)

Properties
- calculated formation energy (eV per atom) = -0.9864
- theoretical density (g/cm3) = 3.0
- E (eV per formula unit) = -139.6

=====

# 7
First-principles (PBE-GGA) data for a relaxed structure of Sr2CaTi3O9, as listed in the Materials Project database.

a b c (Å): 3.9283 3.9283 11.7846
angles (deg): 90.00 90.00 90.00
Atoms (fractional coordinates):
O (0.5000, 0.0000, 0.1656)
Sr (0.5000, 0.5000, 0.3332)
O (0.5000, 0.0000, 0.5000)
O (0.0000, 0.0000, 0.0000)
O (0.5000, 0.0000, 0.8344)
Ca (0.5000, 0.5000, 0.0000)
Ti (0.0000, 0.0000, 0.5000)
O (0.0000, 0.0000, 0.6668)
Ti (0.0000, 0.0000, 0.1657)
O (0.0000, 0.5000, 0.1656)
O (0.0000, 0.5000, 0.8344)
Ti (0.0000, 0.0000, 0.8343)
O (0.0000, 0.5000, 0.5000)
Sr (0.5000, 0.5000, 0.6668)
O (0.0000, 0.0000, 0.3332)

Properties
- calculated formation energy (eV per atom) = -3.5300
- offset from the most stable computed form (meV/atom) = 12
- theoretical density (g/cm3) = 4.6
- E (eV per formula unit) = -120.4

=====

# 8
First-principles (PBE-GGA) data for a relaxed structure of Cu7PSe6, as listed in the Materials Project database.

a b c (Å): 10.1101 10.1477 10.1744
angles (deg): 89.98 89.91 89.88
Atoms (fractional coordinates):
Cu (0.3571, 0.6413, 0.6417)
P (0.7548, 0.7475, 0.7536)
Cu (0.9517, 0.4472, 0.7754)
Se (0.6112, 0.3705, 0.1244)
Cu (0.8633, 0.8544, 0.3526)
Se (0.3735, 0.6281, 0.1108)
P (0.2439, 0.2460, 0.7472)
Cu (0.4056, 0.2347, 0.0759)
Cu (0.2718, 0.4239, 0.4023)
Se (0.1249, 0.6219, 0.3717)
Cu (0.4341, 0.9026, 0.7658)
Se (0.2679, 0.2281, 0.2692)
Cu (0.5129, 0.7819, 0.9987)
Se (0.8733, 0.8737, 0.8872)
Cu (0.5726, 0.4055, 0.7272)
Se (0.1267, 0.8898, 0.1282)
Se (0.8743, 0.1206, 0.1282)
Cu (0.7780, 0.4960, 0.0079)
Se (0.6245, 0.6118, 0.8690)
Se (0.2265, 0.7704, 0.7731)
Se (0.7712, 0.2717, 0.7268)
Cu (0.5039, 0.0097, 0.2249)
Se (0.1118, 0.1251, 0.8744)
Cu (0.5002, 0.5125, 0.2757)
Se (0.3888, 0.8691, 0.3751)
Cu (0.0733, 0.0905, 0.2775)
Cu (0.9000, 0.2591, 0.9327)
Cu (0.2720, 0.9566, 0.9534)
Se (0.8903, 0.6251, 0.6285)
Se (0.5054, 0.0180, 0.9899)
Se (0.6278, 0.8751, 0.6224)
Se (0.4876, 0.5112, 0.5110)
Se (0.7300, 0.7270, 0.2242)
Cu (0.9949, 0.2245, 0.4906)
Cu (0.7243, 0.5073, 0.5063)
Cu (0.5988, 0.7294, 0.4232)
Se (0.3763, 0.3720, 0.8733)
Cu (0.0419, 0.9539, 0.7271)
Se (0.0142, 0.4961, 0.0048)
Se (0.8744, 0.3897, 0.3681)
Se (0.1265, 0.3750, 0.6131)
Cu (0.2383, 0.5668, 0.9106)
Cu (0.6551, 0.1383, 0.8668)
Cu (0.0932, 0.7638, 0.5659)
P (0.7465, 0.2528, 0.2530)
Cu (0.9274, 0.5885, 0.2224)
Cu (0.7223, 0.9258, 0.0914)
Cu (0.2193, 0.9988, 0.4882)
Se (0.9821, 0.9878, 0.4937)
P (0.2525, 0.7536, 0.2466)
Cu (0.7692, 0.0757, 0.5909)
Cu (0.4849, 0.2757, 0.5012)
Cu (0.1387, 0.3565, 0.1366)
Se (0.6286, 0.1268, 0.3898)
Se (0.3723, 0.1093, 0.6291)
Cu (0.0460, 0.7312, 0.9655)

Properties
- calculated formation energy (eV per atom) = -0.2585
- offset from the most stable computed form (meV/atom) = 19
- theoretical density (g/cm3) = 6.0
- E (eV per formula unit) = -55.9

=====

# 9
First-principles (PBE-GGA) data for a relaxed structure of Na4Ta3GaSi4P2O24, as listed in the Materials Project database.

a b c (Å): 8.8878 8.9007 22.5176
angles (deg): 89.88 89.81 119.87
Atoms (fractional coordinates):
Na (0.6353, 0.6249, 0.7448)
Ta (0.3378, 0.6677, 0.0205)
P (0.0034, 0.7170, 0.7498)
O (0.4984, 0.6454, 0.5747)
Na (0.6539, 0.3194, 0.8316)
Si (0.6670, 0.6184, 0.5859)
P (0.3805, 0.0464, 0.5845)
O (0.3028, 0.4774, 0.7545)
O (0.3592, 0.8577, 0.8598)
Si (0.0483, 0.6759, 0.4159)
O (0.8341, 0.0287, 0.8060)
Si (0.9477, 0.6161, 0.0856)
O (0.1673, 0.4687, 0.2570)
Ga (0.6584, 0.3253, 0.6853)
O (0.1609, 0.4699, 0.9756)
O (0.1675, 0.6929, 0.4731)
Na (0.9897, 0.9895, 0.9958)
O (0.1686, 0.2020, 0.4096)
O (0.0223, 0.1972, 0.1966)
O (0.1784, 0.9774, 0.1948)
O (0.8056, 0.8269, 0.1982)
Ta (0.9958, 0.9966, 0.1469)
O (0.8407, 0.0311, 0.0941)
O (0.1981, 0.0262, 0.5892)
O (0.1660, 0.6947, 0.7551)
O (0.1637, 0.1911, 0.6922)
P (0.9950, 0.2863, 0.2527)
Si (0.7080, 0.0043, 0.7492)
Ga (0.9990, 0.9949, 0.3509)
O (0.4660, 0.2924, 0.0283)
Na (0.9939, 0.3670, 0.7462)
Si (0.6227, 0.9572, 0.4148)
P (0.7113, 0.7040, 0.2527)
Na (0.0271, 0.3394, 0.0843)
Ta (0.9948, 0.0009, 0.6433)
O (0.4903, 0.1212, 0.6398)
Na (0.0074, 0.9969, 0.4980)
O (0.8134, 0.7885, 0.3097)
O (0.4956, 0.8546, 0.0766)
O (0.4901, 0.3194, 0.7449)
Na (0.3442, 0.6655, 0.1657)
O (0.8418, 0.5359, 0.7468)
O (0.8339, 0.3056, 0.5261)
Ta (0.3315, 0.6710, 0.3097)
O (0.8361, 0.3081, 0.2464)
O (0.0173, 0.8384, 0.4094)
Si (0.3330, 0.9563, 0.9172)
Si (0.3871, 0.3388, 0.0871)
O (0.6882, 0.5248, 0.5252)
O (0.3061, 0.8404, 0.9769)
O (0.1363, 0.6299, 0.3591)
O (0.9780, 0.8069, 0.8045)
Si (0.2950, 0.2867, 0.7483)
O (0.8133, 0.8374, 0.9082)
Ta (0.6688, 0.3322, 0.4802)
O (0.8748, 0.4906, 0.1424)
O (0.1469, 0.5043, 0.5749)
O (0.6372, 0.4923, 0.9228)
O (0.1362, 0.4951, 0.8569)
O (0.6409, 0.1488, 0.4221)
Ta (0.0042, 0.0088, 0.8559)
O (0.4994, 0.3672, 0.4233)
Na (0.3092, 0.9748, 0.0842)
O (0.5297, 0.8286, 0.4716)
O (0.0298, 0.8287, 0.6939)
O (0.3034, 0.4668, 0.4708)
O (0.9752, 0.1624, 0.5895)
O (0.8535, 0.3603, 0.9224)
Na (0.9664, 0.2951, 0.4117)
O (0.8436, 0.8098, 0.5892)
O (0.6332, 0.5054, 0.6453)
O (0.5276, 0.6936, 0.9728)
O (0.3592, 0.8632, 0.5744)
O (0.1874, 0.1635, 0.0947)
Na (0.3350, 0.6731, 0.6653)
P (0.3319, 0.3786, 0.4156)
Na (0.6571, 0.3235, 0.3227)
O (0.9804, 0.8156, 0.0937)
Si (0.9536, 0.3359, 0.5866)
O (0.8709, 0.3659, 0.6456)
Ta (0.3364, 0.6697, 0.8129)
P (0.2911, 0.0078, 0.2518)
Na (0.7074, 0.6783, 0.4140)
O (0.9769, 0.1804, 0.3092)
O (0.8011, 0.9644, 0.6920)
O (0.5276, 0.6917, 0.2562)
O (0.5057, 0.1446, 0.9234)
O (0.1594, 0.9713, 0.9093)
Si (0.6643, 0.0482, 0.0861)
O (0.1961, 0.1684, 0.8068)
O (0.5206, 0.8242, 0.7543)
O (0.3451, 0.4974, 0.0775)
Ga (0.6663, 0.3332, 0.1832)
Si (0.0440, 0.3798, 0.9167)
O (0.3676, 0.4994, 0.3608)
O (0.8296, 0.5314, 0.0264)
O (0.8543, 0.4971, 0.4237)
Ta (0.3348, 0.6689, 0.5226)
O (0.4731, 0.1629, 0.2461)
O (0.6997, 0.1802, 0.7440)
Si (0.6243, 0.6663, 0.9154)
O (0.3020, 0.8338, 0.2570)
O (0.4687, 0.1605, 0.5283)
O (0.1990, 0.0258, 0.3063)
O (0.5052, 0.6394, 0.8562)
O (0.8168, 0.9830, 0.4085)
O (0.4971, 0.8567, 0.3578)
O (0.7079, 0.1726, 0.0274)
O (0.6919, 0.5252, 0.2455)
O (0.1465, 0.6473, 0.0762)
O (0.4994, 0.3717, 0.1453)
Ta (0.6669, 0.3343, 0.9775)
O (0.0267, 0.1888, 0.9106)
O (0.6178, 0.1239, 0.1434)

Properties
- calculated formation energy (eV per atom) = -2.9786
- theoretical density (g/cm3) = 4.1
- E (eV per formula unit) = -291.9

=====

# 10
First-principles (PBE-GGA) data for a relaxed structure of Er2O3, as listed in the Materials Project database.

a b c (Å): 3.6348 3.6348 5.8327
angles (deg): 90.00 90.00 120.00
Atoms (fractional coordinates):
O (0.6667, 0.3333, 0.3543)
O (0.3333, 0.6667, 0.6457)
Er (0.3333, 0.6667, 0.2501)
O (0.0000, 0.0000, 0.0000)
Er (0.6667, 0.3333, 0.7499)

Properties
- calculated formation energy (eV per atom) = -3.9832
- theoretical density (g/cm3) = 9.5
- E (eV per formula unit) = -41.8

=====

# 11
First-principles (PBE-GGA) data for a relaxed structure of DyPRu2C, as listed in the Materials Project database.

a b c (Å): 5.8446 5.8446 7.0581
angles (deg): 90.00 90.00 142.19
Atoms (fractional coordinates):
C (0.0000, 0.0000, 0.0000)
C (0.0000, 0.0000, 0.5000)
Dy (0.4556, 0.5444, 0.7500)
P (0.2682, 0.7318, 0.2500)
Ru (0.1652, 0.8348, 0.9470)
Ru (0.8348, 0.1652, 0.4470)
P (0.7318, 0.2682, 0.7500)
Ru (0.1652, 0.8348, 0.5530)
Dy (0.5444, 0.4556, 0.2500)
Ru (0.8348, 0.1652, 0.0530)

Properties
- calculated formation energy (eV per atom) = -0.6775
- theoretical density (g/cm3) = 9.2
- E (eV per formula unit) = -41.2

=====

# 12
First-principles (PBE-GGA) data for a relaxed structure of GaSiC4N, as listed in the Materials Project database.

a b c (Å): 10.0111 10.0111 16.6976
angles (deg): 71.57 71.57 58.42
Atoms (fractional coordinates):
Ga (0.9656, 0.0249, 0.1684)
Si (0.7071, 0.9551, 0.3653)
C (0.1603, 0.8371, 0.5855)
N (0.8162, 0.1748, 0.8385)
C (0.0097, 0.4370, 0.2003)
C (0.4061, 0.5935, 0.9732)
C (0.5413, 0.4560, 0.5584)
C (0.1715, 0.3690, 0.1606)
C (0.7401, 0.2592, 0.4693)
C (0.2592, 0.7401, 0.9693)
Ga (0.0896, 0.7296, 0.2836)
C (0.6310, 0.8285, 0.3394)
C (0.9903, 0.5630, 0.7997)
C (0.3690, 0.1715, 0.6606)
Si (0.2868, 0.7196, 0.4150)
C (0.1202, 0.4616, 0.2258)
N (0.1102, 0.0675, 0.7125)
C (0.7408, 0.2599, 0.0307)
C (0.2599, 0.7408, 0.5307)
N (0.1838, 0.8252, 0.1615)
C (0.5939, 0.4065, 0.0268)
C (0.5440, 0.4587, 0.9416)
C (0.4560, 0.5413, 0.0584)
N (0.9325, 0.8898, 0.7875)
C (0.4065, 0.5939, 0.5268)
C (0.8371, 0.1603, 0.0855)
C (0.5384, 0.8798, 0.2742)
Ga (0.0344, 0.9751, 0.8316)
N (0.8898, 0.9325, 0.2875)
C (0.5238, 0.1382, 0.7768)
C (0.8618, 0.4762, 0.7232)
Ga (0.0249, 0.9656, 0.6684)
C (0.1629, 0.8397, 0.9145)
C (0.5935, 0.4061, 0.4732)
Ga (0.9751, 0.0344, 0.3316)
C (0.5630, 0.9903, 0.2997)
Si (0.7132, 0.2804, 0.5850)
Ga (0.9104, 0.2704, 0.7164)
C (0.4616, 0.1202, 0.7258)
Si (0.0449, 0.2929, 0.1347)
Si (0.2929, 0.0449, 0.6347)
Ga (0.7296, 0.0896, 0.7836)
C (0.4762, 0.8618, 0.2232)
C (0.8285, 0.6310, 0.8394)
C (0.4370, 0.0097, 0.7003)
C (0.8798, 0.5384, 0.7742)
N (0.1748, 0.8162, 0.3385)
Si (0.9551, 0.7071, 0.8653)
N (0.8252, 0.1838, 0.6615)
C (0.8397, 0.1629, 0.4145)
C (0.1382, 0.5238, 0.2768)
Ga (0.2704, 0.9104, 0.2164)
N (0.0675, 0.1102, 0.2125)
Si (0.2804, 0.7132, 0.0850)
Si (0.7196, 0.2868, 0.9150)
C (0.4587, 0.5440, 0.4416)

Properties
- calculated formation energy (eV per atom) = 1.0220
- offset from the most stable computed form (meV/atom) = 320
- theoretical density (g/cm3) = 1.6
- E (eV per formula unit) = -46.2

=====

# 13
First-principles (PBE-GGA) data for a relaxed structure of PuMgO3, as listed in the Materials Project database.

a b c (Å): 3.8279 3.8279 3.8279
angles (deg): 90.00 90.00 90.00
Atoms (fractional coordinates):
O (0.5000, 0.5000, 0.0000)
Mg (0.5000, 0.5000, 0.5000)
O (0.0000, 0.5000, 0.5000)
O (0.5000, 0.0000, 0.5000)
Pu (0.0000, 0.0000, 0.0000)

Properties
- calculated formation energy (eV per atom) = -2.7983
- theoretical density (g/cm3) = 9.4
- E (eV per formula unit) = -42.6